VASP calculation (meta-GGA r2SCAN) on a relaxed structure of Cs2CaF4.

Summary:
ΔH_f (0 K): -3.468 eV/atom
Total magnetization: 0.000 μB/cell

a = 4.4985 Å, b = 4.4985 Å, c = 8.0695 Å
α = 106.18°, β = 106.18°, γ = 90.00°
Atoms (fractional coordinates):
Cs  0.6493  0.6493  0.2986
Cs  0.3507  0.3507  0.7014
Ca  0.0000  0.0000  0.0000
F  0.5000  0.0000  0.0000
F  0.0000  0.5000  0.0000
F  0.8479  0.8479  0.6958
F  0.1521  0.1521  0.3042



VASP calculation (meta-GGA r2SCAN) on a relaxed structure of Yb3Pd.

Summary:
ΔH_f (0 K): -0.548 eV/atom
Total magnetization: 2.662 μB/cell

a = 6.3142 Å, b = 6.8790 Å, c = 9.4905 Å
α = 90.00°, β = 90.00°, γ = 90.00°
Atoms (fractional coordinates):
Yb  0.3202  0.6784  0.0603
Yb  0.1798  0.1784  0.4397
Yb  0.6798  0.3216  0.5603
Yb  0.8202  0.8216  0.9397
Yb  0.6798  0.3216  0.9397
Yb  0.8202  0.8216  0.5603
Yb  0.3202  0.6784  0.4397
Yb  0.1798  0.1784  0.0603
Yb  0.8701  0.5253  0.2500
Yb  0.6299  0.0253  0.2500
Yb  0.1299  0.4747  0.7500
Yb  0.3701  0.9747  0.7500
Pd  0.0521  0.8900  0.2500
Pd  0.4479  0.3900  0.2500
Pd  0.9479  0.1100  0.7500
Pd  0.5521  0.6100  0.7500



VASP calculation (meta-GGA r2SCAN) on a relaxed structure of Al2S3O12.

Summary:
ΔH_f (0 K): -2.051 eV/atom
Total magnetization: 0.000 μB/cell

a = 8.4938 Å, b = 8.4938 Å, c = 8.4938 Å
α = 56.35°, β = 56.35°, γ = 56.35°
Atoms (fractional coordinates):
Al  0.1434  0.1434  0.1434
Al  0.8566  0.8566  0.8566
Al  0.3519  0.3519  0.3519
Al  0.6481  0.6481  0.6481
S  0.5394  0.9637  0.2484
S  0.2484  0.5394  0.9637
S  0.9637  0.2484  0.5394
S  0.7516  0.4606  0.0363
S  0.4606  0.0363  0.7516
S  0.0363  0.7516  0.4606
O  0.1842  0.5461  0.4760
O  0.4760  0.1842  0.5461
O  0.5461  0.4760  0.1842
O  0.8158  0.4539  0.5240
O  0.5240  0.8158  0.4539
O  0.4539  0.5240  0.8158
O  0.1119  0.8954  0.2638
O  0.2638  0.1119  0.8954
O  0.8954  0.2638  0.1119
O  0.8881  0.1046  0.7362
O  0.2049  0.3792  0.9930
O  0.3792  0.9930  0.2049
O  0.9930  0.2049  0.3792
O  0.7951  0.6208  0.0070
O  0.6208  0.0070  0.7951
O  0.0070  0.7951  0.6208
O  0.2285  0.5195  0.1565
O  0.5195  0.1565  0.2285
O  0.1565  0.2285  0.5195
O  0.7715  0.4805  0.8435
O  0.4805  0.8435  0.7715
O  0.8435  0.7715  0.4805
O  0.1046  0.7362  0.8881
O  0.7362  0.8881  0.1046



VASP calculation (meta-GGA r2SCAN) on a relaxed structure of K3Pd2O4.

Summary:
ΔH_f (0 K): -1.176 eV/atom
Total magnetization: 2.008 μB/cell

a = 5.5109 Å, b = 5.5104 Å, c = 11.3392 Å
α = 89.97°, β = 90.03°, γ = 112.40°
Atoms (fractional coordinates):
K  0.3523  0.6478  0.5667
K  0.6478  0.3522  0.0666
K  0.2864  0.7135  0.2498
K  0.6477  0.3522  0.4333
K  0.7136  0.2865  0.7502
K  0.3522  0.6478  0.9334
Pd  0.0779  0.9223  0.7500
Pd  0.0000  0.0000  0.0000
Pd  0.9221  0.0777  0.2500
Pd  0.0000  0.0000  0.5000
O  0.1294  0.2952  0.3849
O  0.7048  0.8705  0.3849
O  0.2952  0.1295  0.6151
O  0.7046  0.8705  0.1150
O  0.8706  0.7048  0.6151
O  0.2954  0.1295  0.8850
O  0.1295  0.2953  0.1150
O  0.8705  0.7047  0.8850



VASP calculation (meta-GGA r2SCAN) on a relaxed structure of YGa3Ru.

Summary:
ΔH_f (0 K): -0.634 eV/atom
Total magnetization: 0.000 μB/cell

a = 6.3892 Å, b = 6.3892 Å, c = 6.3892 Å
α = 90.00°, β = 90.00°, γ = 90.00°
Atoms (fractional coordinates):
Y  0.5000  0.5000  0.0000
Y  0.5000  0.0000  0.5000
Y  0.0000  0.5000  0.5000
Ga  0.5000  0.5000  0.5000
Ga  0.2083  0.2083  0.7917
Ga  0.2083  0.7917  0.2083
Ga  0.7917  0.2083  0.2083
Ga  0.7917  0.7917  0.7917
Ga  0.7917  0.7917  0.2083
Ga  0.7917  0.2083  0.7917
Ga  0.2083  0.7917  0.7917
Ga  0.2083  0.2083  0.2083
Ru  0.0000  0.0000  0.5000
Ru  0.0000  0.5000  0.0000
Ru  0.5000  0.0000  0.0000



VASP calculation (meta-GGA r2SCAN) on a relaxed structure of CaCl2.

Summary:
ΔH_f (0 K): -2.647 eV/atom
Total magnetization: 0.000 μB/cell

a = 6.3045 Å, b = 6.9365 Å, c = 7.6590 Å
α = 90.00°, β = 90.00°, γ = 90.00°
Atoms (fractional coordinates):
Ca  0.0000  0.2500  0.1533
Ca  0.5000  0.2500  0.6533
Ca  0.0000  0.7500  0.8467
Ca  0.5000  0.7500  0.3467
Cl  0.2370  0.4216  0.8913
Cl  0.7370  0.5784  0.6087
Cl  0.7630  0.5784  0.1087
Cl  0.2370  0.9216  0.1087
Cl  0.7370  0.0784  0.3913
Cl  0.2630  0.4216  0.3913
Cl  0.2630  0.9216  0.6087
Cl  0.7630  0.0784  0.8913



Question: Look up the total magnetization of the first one.
Answer: 0.000 μB/cell



Question: Which of these has the highest total magnetization?
Answer: Yb3Pd



Question: Among the records above, which one has the highest total magnetization?
Answer: Yb3Pd